# 1
An optimized crystal structure of TmMgSbPb2O6. Source: the Materials Project, functional PBE-GGA.

Calculated values
total energy = -6.2047 eV per atom
energy of formation = -2.28 eV per atom

```
data_TmMgSbPb2O6
_cell_length_a 5.8144
_cell_length_b 5.8144
_cell_length_c 20.1705
_cell_angle_alpha 90.00
_cell_angle_beta 90.00
_cell_angle_gamma 120.00
_space_group_name_H-M_alt 'R 3'
_space_group_IT_number 146
_space_group_name_Hall 'R 3'
loop_
_atom_site_label
_atom_site_fract_x
_atom_site_fract_y
_atom_site_fract_z
Tm1 0.0000 0.0000 0.0000
Mg1 0.0000 0.0000 0.6331
Sb1 0.0000 0.0000 0.4234
Pb1 0.0000 0.0000 0.2601
Pb2 0.0000 0.0000 0.8466
O1 0.0102 0.7161 0.3706
O2 0.0965 0.3522 0.5907
```

***

# 2
An optimized crystal structure of SmNi2Sn2. Source: the Materials Project, functional PBE-GGA.

Calculated values
total energy = -5.3234 eV per atom
energy of formation = -0.46 eV per atom

```
data_SmNi2Sn2
_cell_length_a 4.396
_cell_length_b 4.396
_cell_length_c 10.503
_cell_angle_alpha 90.00
_cell_angle_beta 90.00
_cell_angle_gamma 90.00
_space_group_name_H-M_alt 'I 4/m m m'
_space_group_IT_number 139
_space_group_name_Hall '-I 4 2'
loop_
_atom_site_label
_atom_site_fract_x
_atom_site_fract_y
_atom_site_fract_z
Sm1 0.000 0.000 0.000
Ni1 0.000 0.500 0.250
Sn1 0.000 0.000 0.365
```

***

# 3
An optimized crystal structure of Lu5Ge10Ir4. Source: the Materials Project, functional PBE-GGA.

Calculated values
total energy = -6.2163 eV per atom
energy of formation = -0.73 eV per atom

```
data_Lu5Ge10Ir4
_cell_length_a 12.978
_cell_length_b 12.978
_cell_length_c 4.295
_cell_angle_alpha 90.00
_cell_angle_beta 90.00
_cell_angle_gamma 90.00
_space_group_name_H-M_alt 'P 4/m b m'
_space_group_IT_number 127
_space_group_name_Hall '-P 4 2ab'
loop_
_atom_site_label
_atom_site_fract_x
_atom_site_fract_y
_atom_site_fract_z
Lu1 0.000 0.000 0.000
Lu2 0.116 0.384 0.500
Lu3 0.174 0.674 0.500
Ge1 0.009 0.846 0.500
Ge2 0.066 0.566 0.000
Ge3 0.163 0.200 0.000
Ir1 0.021 0.753 0.000
```

***

# 4
An optimized crystal structure of KEr2CuSe4. Source: the Materials Project, functional PBE-GGA.

Calculated values
total energy = -5.0332 eV per atom
energy of formation = -1.73 eV per atom

```
data_KEr2CuSe4
_cell_length_a 4.088
_cell_length_b 13.987
_cell_length_c 14.308
_cell_angle_alpha 90.00
_cell_angle_beta 90.00
_cell_angle_gamma 90.00
_space_group_name_H-M_alt 'C m c m'
_space_group_IT_number 63
_space_group_name_Hall '-C 2c 2'
loop_
_atom_site_label
_atom_site_fract_x
_atom_site_fract_y
_atom_site_fract_z
K1 0.000 0.113 0.250
Er1 0.000 0.366 0.065
Cu1 0.000 0.161 0.750
Se1 0.000 0.000 0.000
Se2 0.000 0.265 0.611
Se3 0.000 0.436 0.250
```

***

# 5
An optimized crystal structure of LaH6S3N3O9. Source: the Materials Project, functional PBE-GGA.

Calculated values
total energy = -6.0498 eV per atom
energy of formation = -1.46 eV per atom

```
data_LaH6S3N3O9
_cell_length_a 10.0279
_cell_length_b 10.0279
_cell_length_c 5.8989
_cell_angle_alpha 90.00
_cell_angle_beta 90.00
_cell_angle_gamma 120.00
_space_group_name_H-M_alt 'P 63'
_space_group_IT_number 173
_space_group_name_Hall 'P 6c'
loop_
_atom_site_label
_atom_site_fract_x
_atom_site_fract_y
_atom_site_fract_z
La1 0.3333 0.6667 0.0000
H1 0.0685 0.3337 0.4925
H2 0.0951 0.2028 0.6266
S1 0.0858 0.6855 0.5015
N1 0.1269 0.2741 0.4881
O1 0.0816 0.3879 0.0015
O2 0.1456 0.6521 0.7092
O3 0.1475 0.6529 0.2967
```

***

# 6
An optimized crystal structure of ErGeAu. Source: the Materials Project, functional PBE-GGA.

Calculated values
total energy = -4.7300 eV per atom
energy of formation = -0.58 eV per atom

```
data_ErGeAu
_cell_length_a 4.9556
_cell_length_b 4.9556
_cell_length_c 5.9973
_cell_angle_alpha 90.00
_cell_angle_beta 90.00
_cell_angle_gamma 120.00
_space_group_name_H-M_alt 'P 63 m c'
_space_group_IT_number 186
_space_group_name_Hall 'P 6c -2c'
loop_
_atom_site_label
_atom_site_fract_x
_atom_site_fract_y
_atom_site_fract_z
Er1 0.3333 0.6667 0.0000
Ge1 0.3333 0.6667 0.4847
Au1 0.0000 0.0000 0.3486
```